1.
An optimized crystal structure of Zr, computed with PBE.

Lattice parameters (Å, degrees): 3.208 3.208 3.208 60.00 60.00 60.00
Element x y z (fractional)
1 Zr 0.000 0.000 0.000

Its space group is Fm-3m, No. 225. For the density, the calculation gives 6.49 g/cm³. Its volume is 23.3 Å³/cell. For the excess energy over the best structure of this formula in the dataset, the calculation gives 39 meV/atom. The formation energy is 0.039 eV per atom.

=====

2.
An optimized crystal structure of Li6Nd6SbTe3O24, computed with PBE.

Lattice parameters (Å, degrees): 11.018 11.018 12.733 54.84 54.84 70.63
Element x y z (fractional)
1 Li 0.875 0.374 0.876
2 Li 0.875 0.125 0.250
3 Li 0.751 0.750 0.374
4 Li 0.625 0.375 0.750
5 Li 0.750 0.751 0.874
6 Li 0.626 0.125 0.624
7 Li 0.374 0.875 0.376
8 Li 0.249 0.250 0.626
9 Li 0.250 0.249 0.126
10 Li 0.375 0.625 0.250
11 Li 0.125 0.875 0.750
12 Li 0.125 0.626 0.124
13 Nd 0.875 0.125 0.750
14 Nd 0.749 0.750 0.626
15 Nd 0.874 0.375 0.375
16 Nd 0.376 0.624 0.750
17 Nd 0.750 0.749 0.126
18 Nd 0.625 0.126 0.125
19 Nd 0.375 0.874 0.875
20 Nd 0.250 0.251 0.874
21 Nd 0.624 0.376 0.250
22 Nd 0.126 0.625 0.625
23 Nd 0.251 0.250 0.374
24 Nd 0.125 0.875 0.250
25 Sb 0.500 0.500 0.500
26 Sb 0.500 0.500 0.000
27 Te 0.000 0.500 0.000
28 Te 0.500 0.000 0.500
29 Te 0.500 0.000 0.000
30 Te 0.000 0.500 0.500
31 Te 0.000 0.000 0.500
32 Te 0.000 0.000 0.000
33 O 0.907 0.807 0.670
34 O 0.977 0.923 0.906
35 O 0.884 0.170 0.923
36 O 0.923 0.523 0.670
37 O 0.923 0.977 0.406
38 O 0.907 0.693 0.423
39 O 0.830 0.383 0.593
40 O 0.579 0.528 0.800
41 O 0.617 0.170 0.907
42 O 0.693 0.907 0.923
43 O 0.830 0.116 0.577
44 O 0.670 0.116 0.308
45 O 0.977 0.576 0.117
46 O 0.807 0.907 0.170
47 O 0.594 0.807 0.522
48 O 0.700 0.594 0.378
49 O 0.672 0.379 0.027
50 O 0.884 0.330 0.192
51 O 0.594 0.700 0.878
52 O 0.472 0.421 0.700
53 O 0.477 0.077 0.830
54 O 0.621 0.328 0.473
55 O 0.807 0.594 0.022
56 O 0.424 0.023 0.383
57 O 0.193 0.406 0.978
58 O 0.576 0.977 0.617
59 O 0.379 0.672 0.527
60 O 0.523 0.923 0.170
61 O 0.528 0.579 0.300
62 O 0.406 0.300 0.122
63 O 0.116 0.670 0.808
64 O 0.328 0.621 0.973
65 O 0.300 0.406 0.622
66 O 0.406 0.193 0.478
67 O 0.193 0.093 0.830
68 O 0.023 0.424 0.883
69 O 0.330 0.884 0.692
70 O 0.170 0.884 0.423
71 O 0.307 0.093 0.077
72 O 0.383 0.830 0.093
73 O 0.421 0.472 0.200
74 O 0.170 0.617 0.407
75 O 0.093 0.307 0.577
76 O 0.077 0.023 0.594
77 O 0.077 0.477 0.330
78 O 0.116 0.830 0.077
79 O 0.023 0.077 0.094
80 O 0.093 0.193 0.330

Its space group is C2/c, No. 15. The total magnetic moment is 2.00 μB per cell. For the density, the calculation gives 5.77 g/cm³. Its volume is 1033.0 Å³/cell. The formation energy is -2.708 eV per atom.